Computed, not measured: crystalline LaYC3 at its relaxed geometry at the GGA-PBE level of DFT.

## Properties
Energy of formation = -182 meV/atom
Symmetry = I2_13

Structure (POSCAR):
```
LaYC3
1.0
-4.273 4.273 4.273
4.273 -4.273 4.273
4.273 4.273 -4.273
La Y C
4 4 12
Cartesian
3.816 3.816 3.816
-0.457 0.457 4.730
4.730 -0.457 0.457
0.457 4.730 -0.457
1.706 -1.706 2.567
1.706 1.706 1.706
2.567 1.706 -1.706
-1.706 2.567 1.706
1.671 4.273 2.137
2.602 4.273 -2.137
3.938 4.273 -2.137
0.335 4.273 2.137
4.273 -2.137 2.602
4.273 2.137 1.671
4.273 2.137 0.335
4.273 -2.137 3.938
2.137 1.671 4.273
-2.137 2.602 4.273
-2.137 3.938 4.273
2.137 0.335 4.273
```

=====

Computed, not measured: crystalline SrAu2F12 at its relaxed geometry at the GGA-PBE level of DFT.

## Properties
Energy of formation = -1758 meV/atom
Symmetry = Pm-3m

Structure (POSCAR):
```
SrAu2F12
1.0
-5.624 8.435 2.183
-7.116 -5.946 4.642
5.027 1.019 9.013
Sr Au F
4 8 48
Cartesian
-2.812 4.217 1.092
-3.558 -2.973 2.321
2.514 0.509 4.506
0.000 0.000 0.000
-1.932 0.879 3.968
-8.289 2.121 7.373
-2.230 5.596 9.554
-2.975 -1.580 10.781
-5.781 2.629 11.870
0.576 1.387 8.465
-5.483 -2.088 6.284
-4.738 5.088 5.057
0.006 0.623 3.647
-9.611 2.502 8.799
-2.347 7.374 8.687
-2.010 2.026 2.354
-3.474 -3.482 10.543
-3.587 -1.693 12.662
-9.498 0.712 6.680
-0.331 5.970 9.979
-2.292 -0.695 2.820
-1.176 -2.164 11.370
-9.216 3.434 6.214
-2.743 6.441 11.271
-0.705 1.761 9.875
-3.878 2.381 11.575
-5.236 3.228 4.807
-5.347 4.994 6.898
-5.608 -0.354 5.419
-5.868 3.767 10.299
-3.618 -1.740 6.695
-0.593 -0.005 7.783
-5.998 -1.275 7.969
-0.314 2.682 7.324
-2.967 4.529 5.623
-6.146 1.080 10.758
1.898 1.006 7.039
-7.719 2.885 12.191
-4.239 6.990 5.295
-4.126 5.201 3.176
-5.366 -3.866 7.151
-5.703 1.482 13.483
-7.382 -2.462 5.858
1.785 2.796 9.158
-4.970 -2.933 4.566
1.503 0.074 9.623
-6.537 5.672 4.468
-5.421 4.204 13.018
-3.835 1.127 4.263
-7.008 1.747 5.963
-2.105 3.862 10.419
-1.845 -0.258 5.538
-2.477 0.280 11.031
-2.366 -1.486 8.940
-7.120 3.513 8.054
-4.095 5.248 9.143
-1.567 2.428 5.079
-4.745 -1.021 10.214
-7.399 0.827 8.513
-1.715 4.783 7.868
```

=====

Computed, not measured: crystalline SiH8C4I4 at its relaxed geometry at the GGA-PBE level of DFT.

## Properties
Energy of formation = -127 meV/atom
Symmetry = P2_12_12_1

Structure (POSCAR):
```
SiH8C4I4
1.0
-7.506 -2.573 -6.045
4.233 -8.937 -1.452
-14.556 -10.560 22.568
Si H C I
8 64 32 32
Cartesian
-6.235 -14.241 0.983
-17.275 -10.515 14.055
-9.911 -12.447 13.013
-2.237 -6.938 2.091
-6.465 -9.912 7.486
-13.190 -14.919 19.255
-9.835 -16.829 6.385
-6.168 -2.482 -2.985
-0.992 -12.422 6.240
-15.820 -10.348 16.095
-11.222 -12.919 10.923
-7.624 -8.453 -3.116
-11.452 -7.081 0.934
-12.032 -17.656 14.062
-12.100 -11.757 11.958
-0.075 -7.648 3.187
-6.956 -11.873 0.581
-15.730 -12.285 13.178
-9.454 -14.905 13.202
-3.519 -5.078 3.180
-6.100 -12.009 2.146
-17.435 -12.765 12.930
-7.966 -13.966 13.526
-4.158 -5.402 1.540
-11.316 -6.424 4.521
-14.685 -20.139 14.378
-8.555 -11.153 11.336
-1.102 -6.426 -0.094
-9.579 -6.023 4.671
-15.509 -19.878 12.812
-8.032 -10.779 13.005
-2.538 -7.461 -0.348
-8.825 -4.652 0.650
-12.200 -18.301 10.535
-11.068 -12.932 15.189
-3.565 -8.256 3.768
-8.379 -6.215 1.392
-13.582 -17.418 11.243
-10.939 -11.173 14.910
-2.758 -9.337 2.596
-4.355 -8.617 7.056
-13.408 -14.842 16.753
-13.679 -8.330 10.280
-4.216 -12.353 -3.948
-5.364 -7.791 8.280
-13.573 -16.519 17.350
-12.376 -9.055 9.293
-4.345 -10.776 -4.782
-4.913 -11.656 8.405
-15.321 -13.595 19.234
-9.469 -14.427 7.012
-5.956 -4.463 -4.509
-6.530 -11.795 9.150
-0.609 -3.956 -1.813
-9.057 -14.702 5.296
-19.462 -13.689 17.508
-6.863 -10.195 5.023
-11.156 -13.449 19.181
-12.244 -17.508 6.588
-5.396 -2.990 -0.651
-7.152 -11.733 5.893
-12.268 -12.928 20.484
-12.086 -16.015 5.612
-4.153 -3.466 -1.848
-8.606 -8.621 7.262
-11.484 -16.526 20.155
-14.055 -9.912 6.348
-1.513 -9.083 -3.623
-8.243 -8.946 8.981
1.418 -6.578 -2.129
-12.565 -8.952 6.121
-16.268 -19.665 17.169
-11.713 -6.063 1.235
-11.764 -18.670 13.752
-11.465 -12.647 11.958
-0.716 -6.762 3.196
-6.796 -12.505 1.465
-16.740 -12.269 13.612
-8.871 -14.019 12.916
-3.251 -5.348 2.149
-10.361 -6.374 3.987
-14.715 -19.518 13.478
-8.896 -10.992 12.363
-1.686 -7.257 0.313
-8.787 -5.215 1.588
-13.167 -18.412 11.037
-10.426 -12.136 14.798
-3.278 -8.379 2.718
-5.383 -8.373 7.353
-13.047 -15.570 17.491
-13.449 -8.848 9.340
-3.778 -11.351 -4.043
-5.768 -11.092 8.788
-14.994 -14.544 19.671
-9.013 -15.129 6.306
-5.882 -3.377 -4.625
-6.524 -10.838 5.846
-12.208 -13.325 19.466
-11.698 -16.562 6.477
-5.228 -3.417 -1.648
-8.208 -9.359 7.964
-12.506 -16.241 20.421
-13.649 -8.898 6.293
-1.295 -9.643 -4.537
-0.132 -11.337 3.957
-14.041 -9.517 14.286
-12.769 -14.239 12.652
-8.716 -9.048 -0.754
-8.704 -12.476 2.503
-16.611 -13.589 15.332
-8.166 -14.460 10.909
-2.177 -3.616 1.397
-9.850 -8.442 3.574
-15.403 -17.579 14.166
-10.009 -9.130 12.293
-0.396 -8.991 0.109
-7.270 -4.229 2.779
-6.982 -16.683 15.587
-16.262 -14.603 10.129
-5.144 -8.627 1.647
-6.084 -6.988 5.835
-10.994 -15.974 16.912
-14.389 -10.795 9.537
-4.192 -10.385 -2.143
-12.515 -12.699 4.528
-1.863 -5.431 -3.650
-6.910 -15.113 6.827
-14.371 -10.898 22.436
-4.581 -11.554 5.215
-12.929 -11.721 18.202
-12.295 -15.384 8.193
-5.853 -5.482 -1.468
-9.689 -10.943 7.976
-5.322 -7.647 -6.115
-6.943 -5.523 10.490
-13.704 -20.028 17.791
```